No. 1
# K2MnB4H16 | Materials Project | PBE | relaxed
# M_tot (μB/f.u.): 5.02
# Energy of formation from the pure elements (eV per formula unit): -7.42
data_K2MnB4H16
_chemical_formula_sum 'K8 Mn4 B16 H64'
_cell_length_a 8.2404
_cell_length_b 10.2623
_cell_length_c 14.0618
_cell_angle_alpha 90.00
_cell_angle_beta 115.22
_cell_angle_gamma 90.00
_symmetry_space_group_name_H-M 'P 1 21/c 1'
_symmetry_Int_Tables_number 14
_symmetry_space_group_name_Hall '-P 2ybc'
loop_
_atom_site_label
_atom_site_fract_x
_atom_site_fract_y
_atom_site_fract_z
K1 0.0175 0.0145 0.2049
K2 0.2856 0.6434 0.0611
Mn1 0.3546 0.2125 0.0827
B1 0.1470 0.1727 0.6338
B2 0.2871 0.1514 0.4277
B3 0.2911 0.5085 0.5788
B4 0.3053 0.7254 0.3084
H1 0.0232 0.1810 0.6594
H2 0.0957 0.2245 0.5457
H3 0.1306 0.0055 0.0260
H4 0.1719 0.0719 0.4196
H5 0.1779 0.7443 0.2230
H6 0.1923 0.0607 0.6310
H7 0.2243 0.2373 0.9252
H8 0.2757 0.2339 0.6992
H9 0.2875 0.7115 0.8764
H10 0.3238 0.6096 0.3298
H11 0.3345 0.1448 0.3568
H12 0.3339 0.6192 0.6087
H13 0.3389 0.0554 0.1615
H14 0.3772 0.0276 0.0295
H15 0.4202 0.1334 0.5126
H16 0.4375 0.7312 0.7952

***

No. 2
# Zr2Al | Materials Project | PBE | relaxed
# Energy of formation from the pure elements (eV per formula unit): -0.95
data_Zr2Al
_chemical_formula_sum 'Zr8 Al4'
_cell_length_a 6.8655
_cell_length_b 6.8655
_cell_length_c 5.3792
_cell_angle_alpha 90.00
_cell_angle_beta 90.00
_cell_angle_gamma 90.00
_symmetry_space_group_name_H-M 'I 4/m c m'
_symmetry_Int_Tables_number 140
_symmetry_space_group_name_Hall '-I 4 2c'
loop_
_atom_site_label
_atom_site_fract_x
_atom_site_fract_y
_atom_site_fract_z
Zr1 0.1518 0.3482 0.0000
Al1 0.0000 0.0000 0.2500